# 1
Material: Na5TaAl3SiP5O24
Method: DFT, GGA-PBE
State: relaxed

Properties
Total DFT energy (no corrections), eV per atom: -7.142
Calculated formation energy, eV/atom: -2.92
SG: P1
ρ, g/cm3: 3.3

```
data_Na5TaAl3SiP5O24
_cell_length_a 8.6290
_cell_length_b 8.6436
_cell_length_c 21.8021
_cell_angle_alpha 90.02
_cell_angle_beta 90.12
_cell_angle_gamma 119.87
_symmetry_space_group_name_H-M 'P 1'
_symmetry_Int_Tables_number 1
loop_
_symmetry_equiv_pos_as_xyz
'x,y,z'
loop_
_atom_site_label
_atom_site_fract_x
_atom_site_fract_y
_atom_site_fract_z
Na1 0.6350 0.9994 0.2511
Na2 0.3652 0.3655 0.2505
Na3 0.0005 0.6347 0.2508
Na4 0.3043 0.3364 0.5863
Na5 0.0303 0.7004 0.5849
Na6 0.6673 0.9655 0.5850
Na7 0.2998 0.9655 0.0820
Na8 0.9732 0.6700 0.9137
Na9 0.7007 0.0280 0.9122
Na10 0.9976 0.9977 0.4969
Na11 0.0042 0.0108 0.9988
Na12 0.6590 0.3309 0.8259
Na13 0.6671 0.3326 0.3334
Na14 0.3339 0.6591 0.1634
Na15 0.3366 0.6661 0.6665
Ta1 0.6646 0.3312 0.9799
Ta2 0.6687 0.3394 0.4770
Ta3 0.3299 0.6667 0.8086
Al1 0.9988 0.9994 0.3543
Al2 0.0105 0.0099 0.8513
Al3 0.9968 0.9971 0.6500
Al4 0.9957 0.0006 0.1475
Al5 0.6640 0.3360 0.6888
Al6 0.6673 0.3350 0.1837
Al7 0.3290 0.6604 0.0194
Al8 0.3379 0.6668 0.5167
Al9 0.3339 0.6669 0.3167
Si1 0.6658 0.6282 0.5877
Si2 0.0555 0.3724 0.9187
Si3 0.3229 0.9512 0.9186
P1 0.2868 0.0000 0.2500
P2 0.7138 0.7139 0.2501
P3 0.0000 0.2861 0.2501
P4 0.2888 0.2781 0.7479
P5 0.9885 0.7114 0.7490
P6 0.7203 0.0103 0.7488
P7 0.9578 0.3349 0.5862
P8 0.3774 0.0427 0.5859
P9 0.9606 0.6281 0.0873
P10 0.6697 0.0371 0.0869
P11 0.3712 0.3384 0.0873
P12 0.6181 0.6698 0.9182
P13 0.6230 0.9476 0.4149
P14 0.3219 0.3763 0.4148
P15 0.0557 0.6767 0.4152
O1 0.2016 0.0377 0.3056
O2 0.8354 0.7965 0.3065
O3 0.9611 0.1649 0.3064
O4 0.2006 0.1692 0.8053
O5 0.9682 0.7973 0.8078
O6 0.8264 0.0288 0.8077
O7 0.8001 0.9742 0.6908
O8 0.1730 0.2004 0.6894
O9 0.0283 0.8280 0.6912
O10 0.7960 0.8343 0.1937
O11 0.0385 0.2037 0.1937
O12 0.1701 0.9631 0.1918
O13 0.8699 0.3706 0.6402
O14 0.5030 0.1261 0.6399
O15 0.6235 0.4880 0.6415
O16 0.8681 0.5069 0.1428
O17 0.6325 0.1285 0.1418
O18 0.4908 0.3629 0.1438
O19 0.4609 0.2997 0.0304
O20 0.8432 0.5422 0.0284
O21 0.6985 0.1567 0.0283
O22 0.4623 0.1634 0.5275
O23 0.7057 0.5360 0.5261
O24 0.8357 0.2945 0.5275
O25 0.5364 0.7050 0.9744
O26 0.1707 0.4670 0.9779
O27 0.2976 0.8345 0.9795
O28 0.5369 0.8398 0.4738
O29 0.3006 0.4619 0.4738
O30 0.1622 0.6965 0.4744
O31 0.1342 0.6395 0.3576
O32 0.5062 0.8672 0.3574
O33 0.3612 0.4934 0.3575
O34 0.1319 0.5049 0.8586
O35 0.3774 0.8691 0.8596
O36 0.5026 0.6297 0.8599
O37 0.0282 0.8378 0.4086
O38 0.8107 0.9715 0.4083
O39 0.1606 0.1883 0.4081
O40 0.0097 0.1705 0.9087
O41 0.1481 0.9673 0.9084
O42 0.8063 0.8300 0.9098
O43 0.9804 0.1685 0.5909
O44 0.1911 0.0269 0.5909
O45 0.8450 0.8246 0.5915
O46 0.9796 0.8152 0.0926
O47 0.8398 0.0258 0.0926
O48 0.1898 0.1631 0.0926
O49 0.6947 0.1722 0.7420
O50 0.4757 0.3015 0.7427
O51 0.8298 0.5229 0.7430
O52 0.6906 0.5227 0.2426
O53 0.8316 0.3093 0.2420
O54 0.4781 0.1676 0.2427
O55 0.6428 0.5030 0.9246
O56 0.8543 0.3597 0.9246
O57 0.5057 0.1482 0.9237
O58 0.6410 0.1377 0.4217
O59 0.4951 0.3574 0.4215
O60 0.8649 0.5020 0.4211
O61 0.3609 0.5065 0.0782
O62 0.1467 0.6476 0.0805
O63 0.4988 0.8570 0.0781
O64 0.3532 0.8545 0.5754
O65 0.4890 0.6467 0.5751
O66 0.1426 0.5031 0.5755
O67 0.3100 0.8324 0.2573
O68 0.5222 0.6896 0.2573
O69 0.1669 0.4771 0.2575
O70 0.3085 0.4698 0.7540
O71 0.1639 0.6950 0.7537
O72 0.5305 0.8361 0.7539
```

# 2
Material: Na3TiAlSiP2O12
Method: DFT, GGA-PBE
State: relaxed

Properties
Total DFT energy (no corrections), eV per atom: -7.087
Calculated formation energy, eV/atom: -2.94
Offset from the most stable computed form, meV per atom: 2
ρ, g/cm3: 2.9

```
data_Na3TiAlSiP2O12
_cell_length_a 15.1866
_cell_length_b 8.7606
_cell_length_c 8.7941
_cell_angle_alpha 90.00
_cell_angle_beta 124.84
_cell_angle_gamma 90.00
_symmetry_space_group_name_H-M 'P 1'
_symmetry_Int_Tables_number 1
loop_
_symmetry_equiv_pos_as_xyz
'x,y,z'
loop_
_atom_site_label
_atom_site_fract_x
_atom_site_fract_y
_atom_site_fract_z
Na1 0.2518 0.7239 0.9971
Na2 0.7518 0.7761 0.4971
Na3 0.7518 0.2239 0.9971
Na4 0.2518 0.2761 0.4971
Na5 0.5012 0.1126 0.7553
Na6 0.5012 0.8874 0.2553
Na7 0.0012 0.6126 0.7553
Na8 0.0012 0.3874 0.2553
Na9 0.1913 0.9341 0.2809
Na10 0.1913 0.0659 0.7809
Na11 0.6913 0.4341 0.2809
Na12 0.6913 0.5659 0.7809
Ti1 0.8959 0.7575 0.9389
Ti2 0.8959 0.2425 0.4389
Ti3 0.3959 0.2575 0.9389
Ti4 0.3959 0.7425 0.4389
Al1 0.1056 0.7414 0.5634
Al2 0.1056 0.2586 0.0634
Al3 0.6056 0.2414 0.5634
Al4 0.6056 0.7586 0.0634
Si1 0.6436 0.8991 0.7482
Si2 0.6436 0.1009 0.2482
Si3 0.1436 0.3991 0.7482
Si4 0.1436 0.6009 0.2482
P1 0.0029 0.9618 0.7583
P2 0.0029 0.0382 0.2583
P3 0.5029 0.4618 0.7583
P4 0.5029 0.5382 0.2583
P5 0.3536 0.8855 0.7579
P6 0.3536 0.1145 0.2579
P7 0.8536 0.3855 0.7579
P8 0.8536 0.6145 0.2579
O1 0.1442 0.5834 0.7328
O2 0.8472 0.5644 0.7611
O3 0.8472 0.4356 0.2611
O4 0.1442 0.4166 0.2328
O5 0.6442 0.0834 0.7328
O6 0.3472 0.0644 0.7611
O7 0.3472 0.9356 0.2611
O8 0.6442 0.9166 0.2328
O9 0.4367 0.5658 0.5841
O10 0.5696 0.5603 0.9341
O11 0.5696 0.4397 0.4341
O12 0.4367 0.4342 0.0841
O13 0.9367 0.0658 0.5841
O14 0.0696 0.0603 0.9341
O15 0.0696 0.9397 0.4341
O16 0.9367 0.9342 0.0841
O17 0.2524 0.8242 0.7387
O18 0.7451 0.8142 0.7627
O19 0.7451 0.1858 0.2627
O20 0.2524 0.1758 0.2387
O21 0.7524 0.3242 0.7387
O22 0.2451 0.3142 0.7627
O23 0.2451 0.6858 0.2627
O24 0.7524 0.6758 0.2387
O25 0.3538 0.8540 0.5831
O26 0.6351 0.8529 0.9169
O27 0.6351 0.1471 0.4169
O28 0.3538 0.1460 0.0831
O29 0.8538 0.3540 0.5831
O30 0.1351 0.3529 0.9169
O31 0.1351 0.6471 0.4169
O32 0.8538 0.6460 0.0831
O33 0.4549 0.8222 0.9336
O34 0.5338 0.8270 0.5566
O35 0.5338 0.1730 0.0566
O36 0.4549 0.1778 0.4336
O37 0.9549 0.3222 0.9336
O38 0.0338 0.3270 0.5566
O39 0.0338 0.6730 0.0566
O40 0.9549 0.6778 0.4336
O41 0.0810 0.8617 0.7409
O42 0.9203 0.8552 0.7555
O43 0.9203 0.1448 0.2555
O44 0.0810 0.1383 0.2409
O45 0.5810 0.3617 0.7409
O46 0.4203 0.3552 0.7555
O47 0.4203 0.6448 0.2555
O48 0.5810 0.6383 0.2409
```

# 3
Material: Na3TiAlSiP2O12
Method: DFT, GGA-PBE
State: relaxed

Properties
Total DFT energy (no corrections), eV per atom: -7.089
Calculated formation energy, eV/atom: -2.94
Offset from the most stable computed form, meV per atom: 0
SG: Cc
ρ, g/cm3: 2.9

```
data_Na3TiAlSiP2O12
_cell_length_a 8.7447
_cell_length_b 8.7447
_cell_length_c 21.7800
_cell_angle_alpha 90.15
_cell_angle_beta 89.85
_cell_angle_gamma 120.13
_symmetry_space_group_name_H-M 'P 1'
_symmetry_Int_Tables_number 1
loop_
_symmetry_equiv_pos_as_xyz
'x,y,z'
loop_
_atom_site_label
_atom_site_fract_x
_atom_site_fract_y
_atom_site_fract_z
Na1 0.0010 0.9974 0.4982
Na2 0.0026 0.9990 0.9982
Na3 0.6670 0.3296 0.8317
Na4 0.6704 0.3330 0.3317
Na5 0.3480 0.6752 0.1649
Na6 0.3248 0.6520 0.6649
Na7 0.3630 0.3652 0.2488
Na8 0.9953 0.6289 0.2477
Na9 0.6348 0.6370 0.7488
Na10 0.3711 0.0047 0.7477
Na11 0.0357 0.7009 0.5815
Na12 0.6607 0.9653 0.5840
Na13 0.2991 0.9643 0.0815
Na14 0.0347 0.3393 0.0840
Na15 0.9698 0.6685 0.9174
Na16 0.7001 0.0319 0.9142
Na17 0.9681 0.2999 0.4142
Na18 0.3315 0.0302 0.4174
Ti1 0.0062 0.0082 0.6475
Ti2 0.9918 0.9938 0.1475
Ti3 0.6624 0.3366 0.9805
Ti4 0.6634 0.3376 0.4805
Ti5 0.3241 0.6619 0.3139
Ti6 0.3381 0.6759 0.8139
Al1 0.9915 0.9931 0.3527
Al2 0.0069 0.0085 0.8527
Al3 0.6715 0.3270 0.6859
Al4 0.6730 0.3285 0.1859
Al5 0.3302 0.6686 0.0190
Al6 0.3314 0.6698 0.5190
Si1 0.9880 0.2801 0.2521
Si2 0.7199 0.0120 0.7521
Si3 0.3772 0.0426 0.5845
Si4 0.9574 0.6228 0.0845
Si5 0.3270 0.9604 0.9183
Si6 0.0396 0.6730 0.4183
P1 0.2943 0.0057 0.2505
P2 0.7101 0.7105 0.2516
P3 0.2895 0.2899 0.7516
P4 0.9943 0.7057 0.7505
P5 0.9587 0.3378 0.5835
P6 0.6577 0.6160 0.5858
P7 0.6622 0.0413 0.0835
P8 0.3840 0.3423 0.0858
P9 0.6184 0.6664 0.9178
P10 0.0512 0.3761 0.9180
P11 0.6239 0.9488 0.4180
P12 0.3336 0.3816 0.4178
O1 0.2088 0.0369 0.3077
O2 0.8347 0.7959 0.3062
O3 0.9728 0.1663 0.3123
O4 0.2041 0.1653 0.8062
O5 0.9631 0.7912 0.8077
O6 0.8337 0.0272 0.8123
O7 0.8018 0.9658 0.6907
O8 0.1722 0.2000 0.6937
O9 0.0350 0.8272 0.6929
O10 0.8000 0.8278 0.1937
O11 0.0342 0.1982 0.1907
O12 0.1728 0.9650 0.1929
O13 0.8728 0.3743 0.6388
O14 0.5037 0.1341 0.6433
O15 0.6369 0.5074 0.6432
O16 0.8659 0.4963 0.1433
O17 0.6257 0.1272 0.1388
O18 0.4926 0.3631 0.1432
O19 0.4684 0.3016 0.0290
O20 0.8358 0.5321 0.0226
O21 0.6999 0.1592 0.0253
O22 0.4679 0.1642 0.5226
O23 0.6984 0.5316 0.5290
O24 0.8408 0.3001 0.5253
O25 0.5273 0.6972 0.9727
O26 0.1595 0.4595 0.9768
O27 0.2946 0.8327 0.9768
O28 0.5405 0.8405 0.4768
O29 0.3028 0.4727 0.4727
O30 0.1673 0.7054 0.4768
O31 0.1312 0.6323 0.3575
O32 0.5006 0.8620 0.3622
O33 0.3641 0.4911 0.3581
O34 0.1380 0.4994 0.8622
O35 0.3677 0.8688 0.8575
O36 0.5089 0.6359 0.8581
O37 0.0300 0.8511 0.4076
O38 0.8117 0.9769 0.4111
O39 0.1679 0.1948 0.4121
O40 0.0231 0.1883 0.9111
O41 0.1489 0.9700 0.9076
O42 0.8052 0.8321 0.9121
O43 0.9690 0.1658 0.5894
O44 0.1762 0.0138 0.5887
O45 0.8278 0.8039 0.5885
O46 0.9862 0.8238 0.0887
O47 0.8342 0.0310 0.0894
O48 0.1961 0.1722 0.0885
O49 0.6871 0.1776 0.7447
O50 0.4759 0.3128 0.7436
O51 0.8257 0.5254 0.7416
O52 0.6872 0.5241 0.2436
O53 0.8224 0.3129 0.2447
O54 0.4746 0.1743 0.2416
O55 0.6432 0.5024 0.9218
O56 0.8633 0.3585 0.9218
O57 0.5118 0.1506 0.9225
O58 0.6415 0.1367 0.4218
O59 0.4976 0.3568 0.4218
O60 0.8494 0.4882 0.4225
O61 0.3608 0.5037 0.0763
O62 0.1538 0.6419 0.0774
O63 0.4982 0.8566 0.0758
O64 0.3581 0.8462 0.5774
O65 0.4963 0.6392 0.5763
O66 0.1434 0.5018 0.5758
O67 0.3098 0.8369 0.2559
O68 0.5256 0.6913 0.2557
O69 0.1725 0.4811 0.2555
O70 0.3087 0.4744 0.7557
O71 0.1631 0.6902 0.7559
O72 0.5189 0.8275 0.7555
```

# 4
Material: Na4YAlSiP2O12
Method: DFT, GGA-PBE
State: relaxed

Properties
Total DFT energy (no corrections), eV per atom: -6.890
Calculated formation energy, eV/atom: -2.94
SG: P1
ρ, g/cm3: 3.1

```
data_Na4YAlSiP2O12
_cell_length_a 9.1058
_cell_length_b 9.1145
_cell_length_c 22.2299
_cell_angle_alpha 90.04
_cell_angle_beta 89.67
_cell_angle_gamma 120.13
_symmetry_space_group_name_H-M 'P 1'
_symmetry_Int_Tables_number 1
loop_
_symmetry_equiv_pos_as_xyz
'x,y,z'
loop_
_atom_site_label
_atom_site_fract_x
_atom_site_fract_y
_atom_site_fract_z
Na1 0.6319 0.9999 0.2568
Na2 0.3664 0.3689 0.2522
Na3 0.0026 0.6231 0.2524
Na4 0.6382 0.6368 0.7411
Na5 0.9900 0.3582 0.7466
Na6 0.3812 0.0112 0.7436
Na7 0.2954 0.3297 0.5822
Na8 0.0445 0.7138 0.5818
Na9 0.6646 0.9626 0.5893
Na10 0.2991 0.9743 0.0852
Na11 0.6804 0.6965 0.0862
Na12 0.0252 0.3339 0.0940
Na13 0.9786 0.6769 0.9224
Na14 0.6894 0.0309 0.9099
Na15 0.3332 0.2997 0.9165
Na16 0.9667 0.3013 0.4103
Na17 0.3290 0.0279 0.4192
Na18 0.6989 0.6672 0.4151
Na19 0.0046 0.9950 0.4986
Na20 0.0048 0.9936 0.0029
Na21 0.6625 0.3207 0.8308
Na22 0.6739 0.3336 0.3406
Na23 0.3251 0.6633 0.1716
Na24 0.3374 0.6755 0.6627
Y1 0.9992 0.9996 0.8409
Y2 0.6704 0.3320 0.1910
Y3 0.6705 0.3370 0.9906
Y4 0.3305 0.6712 0.0175
Y5 0.3292 0.6715 0.5147
Y6 0.3383 0.6756 0.8104
Al1 0.9967 0.9945 0.3509
Al2 0.0060 0.9996 0.6463
Al3 0.0024 0.0034 0.1545
Al4 0.6648 0.3270 0.6805
Al5 0.6707 0.3390 0.4850
Al6 0.3155 0.6521 0.3181
Si1 0.0137 0.2877 0.2554
Si2 0.7115 0.0143 0.7404
Si3 0.3773 0.0564 0.5831
Si4 0.9758 0.6566 0.0895
Si5 0.3345 0.9812 0.9154
Si6 0.0257 0.6662 0.4150
P1 0.2744 0.9856 0.2548
P2 0.7085 0.7236 0.2540
P3 0.3058 0.2943 0.7407
P4 0.9865 0.6935 0.7404
P5 0.9440 0.3242 0.5831
P6 0.6762 0.6185 0.5843
P7 0.6813 0.0264 0.0887
P8 0.3484 0.3209 0.0894
P9 0.6390 0.6644 0.9154
P10 0.0277 0.3600 0.9151
P11 0.6325 0.9627 0.4125
P12 0.3309 0.3651 0.4136
O1 0.1842 0.0042 0.3104
O2 0.8200 0.8087 0.3093
O3 0.9912 0.1679 0.3129
O4 0.2418 0.1999 0.8015
O5 0.9584 0.7586 0.8012
O6 0.8044 0.0456 0.8059
O7 0.8257 0.9872 0.6884
O8 0.1814 0.1894 0.6898
O9 0.0170 0.8222 0.6895
O10 0.7963 0.8282 0.1964
O11 0.0344 0.1988 0.1942
O12 0.1725 0.9681 0.1968
O13 0.8597 0.3513 0.6388
O14 0.4953 0.1486 0.6416
O15 0.6567 0.5091 0.6397
O16 0.8803 0.5233 0.1444
O17 0.6402 0.1095 0.1417
O18 0.4660 0.3482 0.1428
O19 0.4272 0.2952 0.0309
O20 0.8664 0.5818 0.0274
O21 0.7063 0.1307 0.0306
O22 0.4711 0.1721 0.5223
O23 0.6970 0.5340 0.5262
O24 0.8371 0.3054 0.5257
O25 0.5523 0.6764 0.9734
O26 0.1316 0.4450 0.9722
O27 0.3148 0.8727 0.9763
O28 0.5669 0.8567 0.4713
O29 0.2933 0.4341 0.4719
O30 0.1443 0.7207 0.4758
O31 0.1265 0.6265 0.3605
O32 0.5044 0.8641 0.3603
O33 0.3598 0.4917 0.3608
O34 0.1186 0.4629 0.8579
O35 0.3533 0.8881 0.8552
O36 0.5312 0.6459 0.8593
O37 0.9996 0.8321 0.4046
O38 0.8138 0.9875 0.4045
O39 0.1754 0.1823 0.4063
O40 0.0045 0.1809 0.9134
O41 0.1645 0.9974 0.9135
O42 0.8139 0.8276 0.9124
O43 0.9644 0.1631 0.5864
O44 0.1804 0.0290 0.5891
O45 0.8368 0.8016 0.5879
O46 0.9873 0.8407 0.0992
O47 0.8472 0.0231 0.0973
O48 0.1739 0.1582 0.0958
O49 0.6869 0.1814 0.7352
O50 0.4892 0.3247 0.7348
O51 0.8266 0.5155 0.7332
O52 0.6822 0.5397 0.2521
O53 0.8419 0.3083 0.2558
O54 0.4550 0.1470 0.2533
O55 0.6602 0.5071 0.9167
O56 0.8536 0.3504 0.9180
O57 0.5060 0.1672 0.9178
O58 0.6448 0.1396 0.4189
O59 0.4980 0.3566 0.4185
O60 0.8388 0.4896 0.4260
O61 0.3275 0.4786 0.0859
O62 0.1652 0.6776 0.0881
O63 0.5308 0.8431 0.0846
O64 0.3574 0.8648 0.5825
O65 0.5140 0.6354 0.5818
O66 0.1266 0.4829 0.5803
O67 0.2983 0.8261 0.2588
O68 0.5277 0.7051 0.2588
O69 0.1843 0.4831 0.2597
O70 0.3144 0.4690 0.7415
O71 0.1462 0.6729 0.7418
O72 0.5238 0.8394 0.7395
```